Record 1
The following is a DFT calculation (PBE+U) of a relaxed Ba14U2Fe4S25O crystal.

- Formation enthalpy at 0 K: -1.88 eV/atom
- Mass density: 4.50 g cm⁻³
- Corrected total energy (MP2020 scheme): -6.05 eV/atom

Cell: 16.1873 16.1873 9.6884 Å, 90.00 90.00 90.00°
Last column: nearest neighbours and their distance in Å.
Fractional coordinates of all 92 atoms:
Ba1 0.7880 0.9889 0.7562  8 S 3.18-3.55
Ba2 0.0113 0.7812 0.2473  8 S 3.14-3.49
Ba3 0.0000 0.5000 0.7823  10 S 3.29-3.58, 2 Fe 3.61
Fe1 0.1031 0.3968 0.5003  4 S 2.27-2.40
S1 0.1862 0.6865 0.7968  1 Fe 2.27
S2 0.8952 0.8787 0.0135  1 U 2.60
Ba4 0.2120 0.0111 0.7562  8 S 3.18-3.55
S3 0.1341 0.5419 0.5004  1 S 2.11
S4 0.5030 0.1570 0.9985  1 Fe 2.28
Ba5 0.5110 0.7183 0.2452  8 S 3.14-3.48
Ba6 0.7972 0.7025 0.0007  8 S 3.09-3.32
S5 0.8659 0.4581 0.5004  1 S 2.11
S6 0.1175 0.8902 0.4924  1 U 2.61
S7 0.3657 0.0420 0.4996  1 S 2.11
O1 0.5000 0.5000 0.2478  2 U 2.16
Ba7 0.7025 0.2028 0.0007  8 S 3.09-3.32
S8 0.6214 0.6050 0.0074  1 U 2.60
S9 0.8476 0.6523 0.2964  1 Fe 2.27
S10 0.3135 0.1862 0.7968  1 Fe 2.27
Fe2 0.3637 0.1364 0.9996  4 S 2.27-2.28
S11 0.6865 0.8138 0.7968  1 Fe 2.27
S12 0.3786 0.3950 0.0074  1 U 2.60
Ba8 0.4891 0.2878 0.7540  8 S 3.18-3.53
S13 0.1048 0.1213 0.0135  1 U 2.60
S14 0.9580 0.3657 0.4996  1 S 2.11
Fe3 0.8636 0.3637 0.9996  4 S 2.27-2.28
Fe4 0.1364 0.6363 0.9996  4 S 2.27-2.28
U1 0.0000 0.0000 0.4746  1 O 2.13
Ba9 0.2028 0.2975 0.0007  8 S 3.09-3.32
O2 0.0000 0.0000 0.2542  2 U 2.13-2.19
Ba10 0.2188 0.0113 0.2473  8 S 3.14-3.49
S15 0.4970 0.8430 0.9985  1 Fe 2.28
Ba11 0.2817 0.5110 0.2452  8 S 3.14-3.48
S16 0.0420 0.6343 0.4996  1 S 2.11
S17 0.0000 0.0000 0.7517  2 U 2.68
U2 0.0000 0.0000 0.0283  1 O 2.19
S18 0.8138 0.3135 0.7968  1 Fe 2.27
Ba12 0.2378 0.7379 0.4992  6 S 3.11-3.19
S19 0.6343 0.9580 0.4996  1 S 2.11
S20 0.8473 0.6530 0.7037  1 Fe 2.27
S21 0.3823 0.3899 0.4867  1 U 2.61
Fe5 0.3968 0.8969 0.5003  4 S 2.27-2.40
S22 0.0029 0.3431 0.9994  1 Fe 2.28
U3 0.5000 0.5000 0.0246  1 O 2.16
S23 0.4581 0.1341 0.5004  1 S 2.11
S24 0.6530 0.1527 0.7037  1 Fe 2.27
Ba13 0.5000 0.0000 0.7823  10 S 3.29-3.58, 2 Fe 3.61
Ba14 0.7122 0.4891 0.7540  8 S 3.18-3.53
S25 0.1527 0.3470 0.7037  1 Fe 2.27
S26 0.8825 0.1098 0.4924  1 U 2.61
Fe6 0.8969 0.6032 0.5003  4 S 2.27-2.40
S27 0.3899 0.6177 0.4867  1 U 2.61
U4 0.5000 0.5000 0.4711  1 O 2.16
S28 0.8141 0.3144 0.2028  1 Fe 2.27
Ba15 0.0111 0.7880 0.7562  8 S 3.18-3.55
Ba16 0.5109 0.7122 0.7540  8 S 3.18-3.53
S29 0.3144 0.1859 0.2028  1 Fe 2.27
S30 0.1859 0.6856 0.2028  1 Fe 2.27
S31 0.1524 0.3477 0.2964  1 Fe 2.27
S32 0.5000 0.5000 0.7475  2 U 2.68
S33 0.6050 0.3786 0.0074  1 U 2.60
S34 0.6569 0.0029 0.9994  1 Fe 2.28
S35 0.6177 0.6101 0.4867  1 U 2.61
Ba17 0.5000 0.0000 0.2176  10 S 3.30-3.57, 2 Fe 3.62
S36 0.1570 0.4970 0.9985  1 Fe 2.28
S37 0.5419 0.8659 0.5004  1 S 2.11
Ba18 0.7379 0.7622 0.4992  6 S 3.11-3.19
S38 0.8430 0.5030 0.9985  1 Fe 2.28
Fe7 0.6363 0.8636 0.9996  4 S 2.27-2.28
Ba19 0.2621 0.2378 0.4992  6 S 3.11-3.19
Ba20 0.4890 0.2817 0.2452  8 S 3.14-3.48
Ba21 0.7183 0.4890 0.2452  8 S 3.14-3.48
Fe8 0.6032 0.1031 0.5003  4 S 2.27-2.40
S39 0.8787 0.1048 0.0135  1 U 2.60
Ba22 0.9887 0.2188 0.2473  8 S 3.14-3.49
S40 0.6523 0.1524 0.2964  1 Fe 2.27
Ba23 0.9889 0.2120 0.7562  8 S 3.18-3.55
S41 0.6856 0.8141 0.2028  1 Fe 2.27
Ba24 0.7812 0.9887 0.2473  8 S 3.14-3.49
S42 0.3431 0.9971 0.9994  1 Fe 2.28
S43 0.1098 0.1175 0.4924  1 U 2.61
S44 0.9971 0.6569 0.9994  1 Fe 2.28
Ba25 0.2975 0.7972 0.0007  8 S 3.09-3.32
S45 0.1213 0.8952 0.0135  1 U 2.60
S46 0.3470 0.8473 0.7037  1 Fe 2.27
Ba26 0.2878 0.5109 0.7540  8 S 3.18-3.53
S47 0.8902 0.8825 0.4924  1 U 2.61
Ba27 0.7622 0.2621 0.4992  6 S 3.11-3.19
S48 0.3477 0.8476 0.2964  1 Fe 2.27
Ba28 0.0000 0.5000 0.2176  10 S 3.30-3.57, 2 Fe 3.62
S49 0.6101 0.3823 0.4867  1 U 2.61
S50 0.3950 0.6214 0.0074  1 U 2.60

Record 2
The following is a DFT calculation (PBE+U) of a relaxed BaFe2Se4O12 crystal.

- Formation enthalpy at 0 K: -1.67 eV/atom
- Mass density: 4.26 g cm⁻³
- Corrected total energy (MP2020 scheme): -6.53 eV/atom

Cell: 5.3094 10.3476 14.1922 Å, 49.21 90.00 90.00°
Last column: nearest neighbours and their distance in Å.
Fractional coordinates of all 38 atoms:
O1 0.8142 0.9135 0.9666  1 Se 1.75
Ba1 0.0613 0.0000 0.7500  8 O 2.80-3.02
O2 0.7880 0.2969 0.6503  1 Se 1.73
O3 0.2933 0.8111 0.0324  1 Se 1.73
O4 0.5859 0.8634 0.1835  1 Se 1.74
O5 0.7067 0.8111 0.5324  1 Se 1.73
O6 0.7067 0.1889 0.9676  1 Se 1.73
Fe1 0.0000 0.5000 0.0000  6 O 2.00-2.09
Se1 0.0078 0.7467 0.5941  3 O 1.72-1.75
O7 0.2120 0.2969 0.1503  1 Se 1.73
Se2 0.4971 0.6591 0.3166  3 O 1.73-1.74
O8 0.3027 0.3484 0.5834  1 Se 1.73
Fe2 0.5000 0.0000 0.5000  6 O 2.02-2.09
O9 0.9450 0.4189 0.4046  1 Se 1.72
O10 0.4141 0.8634 0.6835  1 Se 1.74
O11 0.1858 0.9135 0.4666  1 Se 1.75
Ba2 0.9387 0.0000 0.2500  8 O 2.80-3.02
O12 0.2120 0.7031 0.3497  1 Se 1.73
Se3 0.9922 0.2533 0.4059  3 O 1.72-1.75
Fe3 0.5000 0.0000 0.0000  6 O 2.02-2.09
O13 0.0550 0.4189 0.9046  1 Se 1.72
Se4 0.5029 0.6591 0.8166  3 O 1.73-1.74
Se5 0.4971 0.3409 0.1834  3 O 1.73-1.74
Se6 0.0078 0.2533 0.9059  3 O 1.72-1.75
O14 0.4141 0.1366 0.8165  1 Se 1.74
O15 0.9450 0.5811 0.0954  1 Se 1.72
Se7 0.5029 0.3409 0.6834  3 O 1.73-1.74
O16 0.7880 0.7031 0.8497  1 Se 1.73
O17 0.6973 0.3484 0.0834  1 Se 1.73
O18 0.3027 0.6516 0.9166  1 Se 1.73
O19 0.2933 0.1889 0.4676  1 Se 1.73
O20 0.8142 0.0865 0.5334  1 Se 1.75
Se8 0.9922 0.7467 0.0941  3 O 1.72-1.75
O21 0.0550 0.5811 0.5954  1 Se 1.72
O22 0.5859 0.1366 0.3165  1 Se 1.74
O23 0.6973 0.6516 0.4166  1 Se 1.73
O24 0.1858 0.0865 0.0334  1 Se 1.75
Fe4 0.0000 0.5000 0.5000  6 O 2.00-2.09

Record 3
The following is a DFT calculation (PBE+U) of a relaxed BaFeSi4O10 crystal.

- Formation enthalpy at 0 K: -3.09 eV/atom
- Mass density: 3.24 g cm⁻³
- Corrected total energy (MP2020 scheme): -8.19 eV/atom
- Excess energy over the best structure of this formula in the dataset: 0.0108 eV per atom

Cell: 10.8879 10.8879 11.1372 Å, 60.74 119.26 90.00°
Last column: nearest neighbours and their distance in Å.
Fractional coordinates of all 64 atoms:
O1 0.6516 0.9139 0.1722  1 Si 1.60
Si1 0.4032 0.0545 0.3063  4 O 1.60-1.65
Ba1 0.0000 0.7500 0.0000  12 O 2.94-3.14
O2 0.5000 0.0000 0.5000  2 Si 1.63
O3 0.5096 0.7404 0.2726  2 Si 1.65
O4 0.0000 0.5000 0.5000  2 Si 1.63
Si2 0.9032 0.5545 0.3063  4 O 1.60-1.65
O5 0.2370 0.7596 0.7274  2 Si 1.65
O6 0.0000 0.0000 0.5000  2 Si 1.63
Ba2 0.5000 0.7500 0.0000  12 O 2.94-3.14
O7 0.1639 0.9016 0.8278  1 Si 1.60
Si3 0.1108 0.3468 0.3063  4 O 1.60-1.65
Si4 0.8892 0.6532 0.6937  4 O 1.60-1.65
O8 0.2630 0.9870 0.2726  2 Si 1.65
O9 0.7630 0.2404 0.2726  2 Si 1.65
Si5 0.5968 0.9455 0.6937  4 O 1.60-1.65
Si6 0.9032 0.1392 0.3063  4 O 1.60-1.65
O10 0.1516 0.4139 0.1722  1 Si 1.60
O11 0.5205 0.4139 0.1722  1 Si 1.60
O12 0.8361 0.0984 0.1722  1 Si 1.60
O13 0.2500 0.2500 0.5000  2 Si 1.63
O14 0.7500 0.7500 0.5000  2 Si 1.63
O15 0.2500 0.7500 0.5000  2 Si 1.63
O16 0.4795 0.5861 0.8279  1 Si 1.60
Si7 0.1955 0.8468 0.3063  4 O 1.60-1.65
O17 0.9904 0.7596 0.7274  2 Si 1.65
O18 0.6639 0.4016 0.8278  1 Si 1.60
Si8 0.6108 0.8468 0.3063  4 O 1.60-1.65
Si9 0.3045 0.6532 0.6937  4 O 1.60-1.65
O19 0.3361 0.5984 0.1722  1 Si 1.60
Si10 0.6955 0.3468 0.3063  4 O 1.60-1.65
O20 0.8484 0.5861 0.8278  1 Si 1.60
O21 0.9904 0.5130 0.7274  2 Si 1.65
Fe1 0.1599 0.0901 0.8197  4 O 2.01
Si11 0.0968 0.4455 0.6937  4 O 1.60-1.65
O22 0.6639 0.7705 0.8278  1 Si 1.60
O23 0.9795 0.0861 0.8279  1 Si 1.60
O24 0.7370 0.2596 0.7274  2 Si 1.65
O25 0.5096 0.9870 0.2726  2 Si 1.65
Fe2 0.3401 0.4099 0.1803  4 O 2.01
O26 0.7500 0.2500 0.5000  2 Si 1.63
O27 0.4904 0.2596 0.7274  2 Si 1.65
Si12 0.5968 0.3608 0.6937  4 O 1.60-1.65
Si13 0.3892 0.1532 0.6937  4 O 1.60-1.65
O28 0.4904 0.0130 0.7274  2 Si 1.65
Fe3 0.6599 0.5901 0.8197  4 O 2.01
Si14 0.0968 0.8608 0.6937  4 O 1.60-1.65
O29 0.2630 0.7404 0.2726  2 Si 1.65
O30 0.7370 0.0130 0.7274  2 Si 1.65
O31 0.1639 0.2705 0.8278  1 Si 1.60
O32 0.5000 0.5000 0.5000  2 Si 1.63
O33 0.0205 0.9139 0.1722  1 Si 1.60
Fe4 0.8401 0.9099 0.1803  4 O 2.01
Ba3 0.5000 0.2500 0.0000  12 O 2.94-3.14
O34 0.3484 0.0861 0.8278  1 Si 1.60
O35 0.8361 0.7295 0.1722  1 Si 1.60
O36 0.0096 0.4870 0.2726  2 Si 1.65
Ba4 0.0000 0.2500 0.0000  12 O 2.94-3.14
Si15 0.4032 0.6392 0.3063  4 O 1.60-1.65
O37 0.7630 0.4870 0.2726  2 Si 1.65
O38 0.0096 0.2404 0.2726  2 Si 1.65
O39 0.2370 0.5130 0.7274  2 Si 1.65
O40 0.3361 0.2295 0.1722  1 Si 1.60
Si16 0.8045 0.1532 0.6937  4 O 1.60-1.65

| no. | size of the total moment (μB/f.u.) |
| --- | --- |
| 1 | 20.294 |
| 2 | 10.000 |
| 3 | 0.000 |